This record from the Materials Project database describes crystalline Ge2N2O at its relaxed geometry. The functional is PBE.

- Size of the total moment: 0.000 μB/cell
- Largest piezoelectric modulus: 0.439 C/m²
- V: 134 Å³ per cell
- Energy of formation: -0.6050 eV per atom

POSCAR file:
```
Ge2N2O
1.0
0.703 -5.260 -1.703
1.891 4.347 -2.930
5.228 -0.511 1.058
Ge N O
4 4 2
Cartesian
1.817 1.820 -2.972 Ge
3.850 -3.136 -1.843 Ge
1.431 -1.323 -2.612 Ge
4.240 -0.003 -2.284 Ge
3.119 -1.415 -1.866 N
3.342 1.578 -1.916 N
5.923 -0.137 -1.533 N
5.420 -3.012 -0.833 N
6.199 2.829 -1.536 O
2.676 -4.267 -1.126 O
```